[1]
# Na12Mg4Nb2Si6S3O36

A relaxed structure of Na12Mg4Nb2Si6S3O36 (PBE, Materials Project).

Unit cell a=9.160 b=9.148 c=22.271 alpha=90.23 beta=90.00 gamma=120.04
Fractional coordinates of all 126 atoms:
Na: 0.643 0.018 0.253
Na: 0.350 0.343 0.251
Na: 0.997 0.633 0.242
Na: 0.636 0.633 0.742
Na: 0.993 0.343 0.751
Na: 0.375 0.018 0.753
Na: 0.307 0.344 0.587
Na: 0.030 0.704 0.579
Na: 0.666 0.949 0.583
Na: 0.283 0.949 0.083
Na: 0.674 0.704 0.079
Na: 0.038 0.344 0.087
Na: 0.984 0.689 0.916
Na: 0.711 0.027 0.910
Na: 0.313 0.284 0.910
Na: 0.972 0.284 0.410
Na: 0.316 0.027 0.410
Na: 0.706 0.689 0.416
Na: 0.992 0.994 0.494
Na: 0.001 0.994 0.994
Na: 0.655 0.320 0.825
Na: 0.665 0.320 0.325
Na: 0.314 0.664 0.165
Na: 0.349 0.664 0.665
Mg: 0.010 0.011 0.351
Mg: 0.001 0.011 0.851
Mg: 0.986 0.999 0.654
Mg: 0.013 0.999 0.154
Mg: 0.655 0.331 0.686
Mg: 0.676 0.331 0.186
Mg: 0.324 0.668 0.014
Mg: 0.343 0.668 0.514
Nb: 0.677 0.345 0.975
Nb: 0.668 0.345 0.475
Nb: 0.323 0.666 0.317
Nb: 0.343 0.666 0.817
Si: 0.298 0.003 0.250
Si: 0.998 0.290 0.249
Si: 0.292 0.290 0.749
Si: 0.705 0.003 0.750
Si: 0.668 0.634 0.588
Si: 0.966 0.634 0.088
Si: 0.629 0.673 0.922
Si: 0.047 0.373 0.919
Si: 0.329 0.958 0.920
Si: 0.629 0.958 0.420
Si: 0.327 0.373 0.419
Si: 0.044 0.673 0.422
S: 0.705 0.708 0.249
S: 0.003 0.708 0.749
S: 0.957 0.335 0.584
S: 0.375 0.041 0.584
S: 0.666 0.041 0.084
S: 0.377 0.335 0.084
O: 0.213 0.028 0.309
O: 0.808 0.784 0.304
O: 0.968 0.178 0.308
O: 0.210 0.178 0.808
O: 0.976 0.784 0.804
O: 0.815 0.028 0.809
O: 0.771 0.951 0.690
O: 0.177 0.215 0.689
O: 0.031 0.812 0.695
O: 0.782 0.812 0.195
O: 0.039 0.215 0.189
O: 0.180 0.951 0.190
O: 0.873 0.354 0.638
O: 0.481 0.121 0.637
O: 0.644 0.510 0.642
O: 0.866 0.510 0.142
O: 0.640 0.121 0.137
O: 0.481 0.354 0.138
O: 0.462 0.311 0.029
O: 0.834 0.522 0.026
O: 0.687 0.148 0.029
O: 0.461 0.148 0.529
O: 0.688 0.522 0.526
O: 0.849 0.311 0.529
O: 0.543 0.698 0.980
O: 0.156 0.456 0.978
O: 0.303 0.849 0.979
O: 0.546 0.849 0.479
O: 0.300 0.456 0.478
O: 0.155 0.698 0.480
O: 0.131 0.632 0.362
O: 0.500 0.868 0.360
O: 0.373 0.502 0.360
O: 0.129 0.502 0.860
O: 0.368 0.868 0.860
O: 0.501 0.632 0.862
O: 0.006 0.823 0.410
O: 0.814 0.983 0.410
O: 0.173 0.184 0.412
O: 0.011 0.184 0.912
O: 0.170 0.983 0.910
O: 0.817 0.823 0.910
O: 0.974 0.182 0.585
O: 0.208 0.029 0.587
O: 0.845 0.815 0.584
O: 0.970 0.815 0.084
O: 0.821 0.029 0.087
O: 0.208 0.182 0.085
O: 0.682 0.169 0.743
O: 0.487 0.327 0.746
O: 0.855 0.534 0.743
O: 0.679 0.534 0.243
O: 0.841 0.327 0.246
O: 0.487 0.169 0.243
O: 0.633 0.489 0.924
O: 0.852 0.359 0.924
O: 0.508 0.148 0.925
O: 0.641 0.148 0.425
O: 0.507 0.359 0.424
O: 0.856 0.489 0.424
O: 0.365 0.489 0.079
O: 0.150 0.648 0.081
O: 0.516 0.870 0.079
O: 0.354 0.870 0.579
O: 0.498 0.648 0.581
O: 0.125 0.489 0.579
O: 0.322 0.828 0.258
O: 0.533 0.692 0.254
O: 0.179 0.486 0.258
O: 0.307 0.486 0.758
O: 0.159 0.692 0.754
O: 0.505 0.828 0.758

Results
- space-group type = No. 9

***

[2]
# Na4Mg2Nb2Si3S3O24

A relaxed structure of Na4Mg2Nb2Si3S3O24 (PBE, Materials Project).

Unit cell a=8.976 b=8.971 c=22.665 alpha=89.69 beta=90.29 gamma=120.50
Fractional coordinates of all 114 atoms:
Na: 0.369 0.351 0.245
Na: 0.644 0.631 0.747
Na: 0.024 0.681 0.591
Na: 0.321 0.969 0.079
Na: 0.700 0.026 0.908
Na: 0.986 0.305 0.423
Na: 0.012 0.016 0.500
Na: 0.011 0.002 0.990
Na: 0.679 0.334 0.821
Na: 0.647 0.318 0.330
Na: 0.349 0.669 0.155
Na: 0.332 0.651 0.657
Mg: 0.014 0.002 0.352
Mg: 0.006 0.997 0.850
Mg: 0.680 0.335 0.687
Mg: 0.653 0.318 0.183
Mg: 0.340 0.668 0.019
Mg: 0.339 0.649 0.522
Nb: 0.982 0.995 0.648
Nb: 0.010 0.001 0.141
Nb: 0.651 0.315 0.981
Nb: 0.662 0.342 0.486
Nb: 0.340 0.670 0.313
Nb: 0.329 0.683 0.809
Si: 0.297 0.003 0.252
Si: 0.991 0.709 0.751
Si: 0.712 0.014 0.757
Si: 0.963 0.337 0.584
Si: 0.657 0.628 0.591
Si: 0.664 0.036 0.087
Si: 0.383 0.352 0.087
Si: 0.314 0.951 0.921
Si: 0.330 0.366 0.418
S: 0.715 0.714 0.252
S: 0.996 0.288 0.251
S: 0.288 0.289 0.752
S: 0.375 0.042 0.585
S: 0.952 0.617 0.085
S: 0.624 0.664 0.918
S: 0.045 0.380 0.918
S: 0.625 0.957 0.418
S: 0.044 0.670 0.417
O: 0.197 0.028 0.305
O: 0.809 0.800 0.305
O: 0.971 0.190 0.305
O: 0.206 0.189 0.804
O: 0.971 0.803 0.806
O: 0.816 0.027 0.815
O: 0.805 0.970 0.698
O: 0.179 0.211 0.697
O: 0.035 0.833 0.690
O: 0.791 0.819 0.198
O: 0.028 0.204 0.199
O: 0.171 0.971 0.191
O: 0.862 0.361 0.636
O: 0.478 0.123 0.637
O: 0.637 0.514 0.646
O: 0.870 0.521 0.139
O: 0.639 0.134 0.139
O: 0.482 0.368 0.147
O: 0.476 0.303 0.030
O: 0.847 0.541 0.031
O: 0.700 0.163 0.024
O: 0.463 0.157 0.529
O: 0.695 0.527 0.530
O: 0.836 0.300 0.520
O: 0.535 0.682 0.968
O: 0.146 0.463 0.971
O: 0.311 0.850 0.979
O: 0.537 0.856 0.469
O: 0.300 0.469 0.468
O: 0.144 0.695 0.471
O: 0.134 0.642 0.364
O: 0.514 0.870 0.362
O: 0.360 0.496 0.356
O: 0.130 0.483 0.864
O: 0.360 0.858 0.862
O: 0.521 0.633 0.862
O: 0.011 0.810 0.407
O: 0.796 0.976 0.409
O: 0.156 0.181 0.411
O: 0.012 0.202 0.913
O: 0.165 0.994 0.912
O: 0.795 0.822 0.914
O: 0.985 0.163 0.590
O: 0.203 0.030 0.585
O: 0.853 0.814 0.589
O: 0.968 0.798 0.089
O: 0.842 0.022 0.094
O: 0.190 0.154 0.090
O: 0.664 0.157 0.744
O: 0.461 0.314 0.744
O: 0.826 0.521 0.745
O: 0.690 0.539 0.247
O: 0.856 0.323 0.242
O: 0.486 0.172 0.247
O: 0.647 0.509 0.925
O: 0.869 0.368 0.921
O: 0.512 0.148 0.923
O: 0.645 0.134 0.417
O: 0.510 0.352 0.423
O: 0.873 0.499 0.419
O: 0.335 0.495 0.074
O: 0.128 0.651 0.080
O: 0.496 0.851 0.077
O: 0.350 0.871 0.573
O: 0.511 0.671 0.578
O: 0.143 0.513 0.575
O: 0.309 0.821 0.260
O: 0.531 0.691 0.255
O: 0.167 0.463 0.255
O: 0.308 0.468 0.756
O: 0.171 0.689 0.758
O: 0.523 0.814 0.759

Results
- space-group type = No. 1

***

What are the E values for these records? In order: -406.95, -257.09 eV/f.u..
What are the size of the total moment values for these records? In order: 0.00, 0.00 μB per atom.
What are the formation energy values for these records? In order: -166.1, -97.4 eV/f.u..